[1]
Below is an optimized crystal structure of ReMoN3, with properties calculated at the GGA-PBE level.

```
data_ReMoN3
_chemical_formula_sum 'Re4 Mo4 N12'
_symmetry_space_group_name_H-M 'P 1'
_symmetry_Int_Tables_number 1
_cell_length_a 9.3292
_cell_length_b 5.6038
_cell_length_c 8.5593
_cell_angle_alpha 109.22
_cell_angle_beta 90.61
_cell_angle_gamma 122.62
loop_
_symmetry_equiv_pos_as_xyz
'x,y,z'
loop_
_atom_site_label
_atom_site_type_symbol
_atom_site_fract_x
_atom_site_fract_y
_atom_site_fract_z
Re1 Re 0.3514 0.3451 0.0468
Re2 Re 0.6486 0.6549 0.9532
Re3 Re 0.6563 0.6343 0.5677
Re4 Re 0.3437 0.3657 0.4323
Mo1 Mo 0.0705 0.3311 0.5653
Mo2 Mo 0.9295 0.6689 0.4347
Mo3 Mo 0.7401 0.0454 0.3025
Mo4 Mo 0.2599 0.9546 0.6975
N1 N 0.8179 0.9215 0.4629
N2 N 0.1821 0.0785 0.5371
N3 N 0.9116 0.3866 0.2423
N4 N 0.0884 0.6134 0.7577
N5 N 0.7072 0.3314 0.4780
N6 N 0.2928 0.6686 0.5220
N7 N 0.7080 0.8430 0.7953
N8 N 0.2920 0.1570 0.2047
N9 N 0.8273 0.7834 0.1047
N10 N 0.1727 0.2166 0.8953
N11 N 0.4726 0.2077 0.8905
N12 N 0.5274 0.7923 0.1095
```

magnetization: 0.00 μB per cell
V: 17.29 Å³ per atom
energy of formation: 79 meV per atom

***

[2]
Below is an optimized crystal structure of MoRuN3, with properties calculated at the GGA-PBE level.

```
data_MoRuN3
_chemical_formula_sum 'Mo4 Ru4 N12'
_symmetry_space_group_name_H-M 'P 1'
_symmetry_Int_Tables_number 1
_cell_length_a 8.3956
_cell_length_b 5.5738
_cell_length_c 7.9003
_cell_angle_alpha 107.12
_cell_angle_beta 103.69
_cell_angle_gamma 111.85
loop_
_symmetry_equiv_pos_as_xyz
'x,y,z'
loop_
_atom_site_label
_atom_site_type_symbol
_atom_site_fract_x
_atom_site_fract_y
_atom_site_fract_z
Mo1 Mo 0.9798 0.7073 0.6474
Mo2 Mo 0.0202 0.2927 0.3526
Mo3 Mo 0.6155 0.9604 0.1606
Mo4 Mo 0.3845 0.0396 0.8394
Ru1 Ru 0.6886 0.6407 0.3408
Ru2 Ru 0.3114 0.3593 0.6592
Ru3 Ru 0.6989 0.6747 0.7827
Ru4 Ru 0.3011 0.3253 0.2173
N1 N 0.7322 0.7919 0.5978
N2 N 0.2678 0.2081 0.4022
N3 N 0.8106 0.3873 0.3697
N4 N 0.1894 0.6127 0.6303
N5 N 0.9280 0.6352 0.8402
N6 N 0.0720 0.3648 0.1598
N7 N 0.5309 0.8041 0.8845
N8 N 0.4691 0.1959 0.1155
N9 N 0.8377 0.8896 0.2465
N10 N 0.1623 0.1104 0.7535
N11 N 0.5335 0.2942 0.7644
N12 N 0.4665 0.7058 0.2356
```

magnetization: 0.00 μB per cell
V: 15.10 Å³ per atom
energy of formation: 102 meV per atom

***

[3]
Below is an optimized crystal structure of MoS6N, with properties calculated at the GGA-PBE level.

```
data_MoS6N
_chemical_formula_sum 'Mo12 S72 N12'
_symmetry_space_group_name_H-M 'P 1'
_symmetry_Int_Tables_number 1
_cell_length_a 12.4636
_cell_length_b 12.8363
_cell_length_c 19.8716
_cell_angle_alpha 90.00
_cell_angle_beta 90.00
_cell_angle_gamma 89.91
loop_
_symmetry_equiv_pos_as_xyz
'x,y,z'
loop_
_atom_site_label
_atom_site_type_symbol
_atom_site_fract_x
_atom_site_fract_y
_atom_site_fract_z
Mo1 Mo 0.3813 0.0000 0.5000
Mo2 Mo 0.6187 0.5000 0.0000
Mo3 Mo 0.3138 0.3129 0.7474
Mo4 Mo 0.3135 0.6872 0.2525
Mo5 Mo 0.6862 0.1871 0.2474
Mo6 Mo 0.6865 0.8128 0.7525
Mo7 Mo 0.1561 0.0001 0.5000
Mo8 Mo 0.8439 0.4999 0.0000
Mo9 Mo 0.5391 0.3130 0.7446
Mo10 Mo 0.5387 0.6870 0.2552
Mo11 Mo 0.4609 0.1870 0.2446
Mo12 Mo 0.4613 0.8130 0.7552
S1 S 0.6840 0.2152 0.8032
S2 S 0.6833 0.7845 0.1964
S3 S 0.3160 0.2848 0.3032
S4 S 0.3167 0.7155 0.6964
S5 S 0.5251 0.1314 0.5115
S6 S 0.5255 0.8684 0.4885
S7 S 0.4749 0.3686 0.0115
S8 S 0.4745 0.6316 0.9885
S9 S 0.4926 0.0517 0.5964
S10 S 0.4926 0.9482 0.4036
S11 S 0.5074 0.4483 0.0964
S12 S 0.5074 0.5518 0.9036
S13 S 0.0128 0.1165 0.4560
S14 S 0.0132 0.8838 0.5441
S15 S 0.9872 0.3835 0.9560
S16 S 0.9868 0.6162 0.0441
S17 S 0.1912 0.1866 0.6976
S18 S 0.1914 0.8139 0.3028
S19 S 0.8088 0.3134 0.1976
S20 S 0.8086 0.6861 0.8028
S21 S 0.4229 0.1811 0.7998
S22 S 0.4223 0.8189 0.2000
S23 S 0.5771 0.3189 0.2998
S24 S 0.5777 0.6811 0.7000
S25 S 0.6555 0.4592 0.7763
S26 S 0.6562 0.5414 0.2236
S27 S 0.3445 0.0408 0.2763
S28 S 0.3438 0.9586 0.7236
S29 S 0.2625 0.1486 0.5315
S30 S 0.2628 0.8514 0.4686
S31 S 0.7375 0.3514 0.0315
S32 S 0.7372 0.6486 0.9686
S33 S 0.6830 0.4054 0.6831
S34 S 0.6826 0.5946 0.3170
S35 S 0.3170 0.0946 0.1831
S36 S 0.3174 0.9054 0.8170
S37 S 0.4344 0.3253 0.8464
S38 S 0.4340 0.6745 0.1534
S39 S 0.5656 0.1747 0.3464
S40 S 0.5660 0.8255 0.6534
S41 S 0.6539 0.1676 0.7093
S42 S 0.6528 0.8321 0.2902
S43 S 0.3461 0.3324 0.2093
S44 S 0.3472 0.6679 0.7902
S45 S 0.1765 0.2924 0.8371
S46 S 0.1762 0.7076 0.1628
S47 S 0.8235 0.2076 0.3371
S48 S 0.8238 0.7924 0.6628
S49 S 0.4282 0.3011 0.6455
S50 S 0.4280 0.6990 0.3543
S51 S 0.5718 0.1989 0.1455
S52 S 0.5720 0.8010 0.8543
S53 S 0.1896 0.4359 0.8003
S54 S 0.1901 0.5640 0.1996
S55 S 0.8104 0.0641 0.3003
S56 S 0.8099 0.9360 0.6996
S57 S 0.2726 0.1126 0.4301
S58 S 0.2727 0.8875 0.5699
S59 S 0.7274 0.3874 0.9301
S60 S 0.7273 0.6125 0.0699
S61 S 0.0256 0.0194 0.5902
S62 S 0.0253 0.9809 0.4099
S63 S 0.9744 0.4806 0.0902
S64 S 0.9747 0.5191 0.9099
S65 S 0.4190 0.4442 0.6914
S66 S 0.4190 0.5559 0.3086
S67 S 0.5810 0.0558 0.1914
S68 S 0.5810 0.9441 0.8086
S69 S 0.1665 0.3311 0.6642
S70 S 0.1664 0.6693 0.3358
S71 S 0.8335 0.1689 0.1642
S72 S 0.8336 0.8307 0.8358
N1 N 0.9139 0.3327 0.7598
N2 N 0.9136 0.6678 0.2408
N3 N 0.0861 0.1673 0.2598
N4 N 0.0864 0.8322 0.7408
N5 N 0.7527 0.9970 0.4991
N6 N 0.2473 0.5030 0.9991
N7 N 0.5800 0.1331 0.9555
N8 N 0.5801 0.8669 0.0448
N9 N 0.4200 0.3669 0.4555
N10 N 0.4199 0.6331 0.5448
N11 N 0.1544 0.2918 0.1008
N12 N 0.8456 0.2082 0.6008
```

magnetization: 36.00 μB per cell
V: 33.12 Å³ per atom
energy of formation: 32 meV per atom

***

[4]
Below is an optimized crystal structure of ScMoN3, with properties calculated at the GGA-PBE level.

```
data_ScMoN3
_chemical_formula_sum 'Sc4 Mo4 N12'
_symmetry_space_group_name_H-M 'P 1'
_symmetry_Int_Tables_number 1
_cell_length_a 9.2805
_cell_length_b 5.7161
_cell_length_c 7.8207
_cell_angle_alpha 106.05
_cell_angle_beta 102.90
_cell_angle_gamma 119.84
loop_
_symmetry_equiv_pos_as_xyz
'x,y,z'
loop_
_atom_site_label
_atom_site_type_symbol
_atom_site_fract_x
_atom_site_fract_y
_atom_site_fract_z
Sc1 Sc 0.6782 0.6050 0.3272
Sc2 Sc 0.3218 0.3950 0.6728
Sc3 Sc 0.7659 0.7889 0.8926
Sc4 Sc 0.2341 0.2111 0.1074
Mo1 Mo 0.9803 0.7314 0.6810
Mo2 Mo 0.0197 0.2686 0.3190
Mo3 Mo 0.5969 0.9868 0.1790
Mo4 Mo 0.4031 0.0132 0.8210
N1 N 0.8108 0.8134 0.6334
N2 N 0.1892 0.1866 0.3666
N3 N 0.8128 0.3740 0.3827
N4 N 0.1872 0.6260 0.6173
N5 N 0.9725 0.7004 0.8985
N6 N 0.0275 0.2996 0.1015
N7 N 0.5487 0.8597 0.8871
N8 N 0.4513 0.1403 0.1129
N9 N 0.7879 0.8650 0.1894
N10 N 0.2121 0.1350 0.8106
N11 N 0.5212 0.2984 0.7468
N12 N 0.4788 0.7016 0.2532
```

magnetization: 0.00 μB per cell
V: 15.59 Å³ per atom
energy of formation: -938 meV per atom

***

[5]
Below is an optimized crystal structure of Sr3MoN4, with properties calculated at the GGA-PBE level.

```
data_Sr3MoN4
_chemical_formula_sum 'Sr24 Mo8 N32'
_symmetry_space_group_name_H-M 'P 1'
_symmetry_Int_Tables_number 1
_cell_length_a 9.7981
_cell_length_b 10.5769
_cell_length_c 11.6825
_cell_angle_alpha 90.00
_cell_angle_beta 90.00
_cell_angle_gamma 90.00
loop_
_symmetry_equiv_pos_as_xyz
'x,y,z'
loop_
_atom_site_label
_atom_site_type_symbol
_atom_site_fract_x
_atom_site_fract_y
_atom_site_fract_z
Sr1 Sr 0.9730 0.1250 0.6036
Sr2 Sr 0.4730 0.8750 0.8964
Sr3 Sr 0.5270 0.6250 0.3964
Sr4 Sr 0.0270 0.3750 0.1036
Sr5 Sr 0.0270 0.8750 0.3964
Sr6 Sr 0.5270 0.1250 0.1036
Sr7 Sr 0.4730 0.3750 0.6036
Sr8 Sr 0.9730 0.6250 0.8964
Sr9 Sr 0.6320 0.0272 0.6429
Sr10 Sr 0.1320 0.9728 0.8571
Sr11 Sr 0.8680 0.5272 0.3571
Sr12 Sr 0.3680 0.4728 0.1429
Sr13 Sr 0.3680 0.9728 0.3571
Sr14 Sr 0.8680 0.0272 0.1429
Sr15 Sr 0.1320 0.4728 0.6429
Sr16 Sr 0.6320 0.5272 0.8571
Sr17 Sr 0.3042 0.2899 0.8829
Sr18 Sr 0.8042 0.2101 0.8829
Sr19 Sr 0.1958 0.2899 0.3829
Sr20 Sr 0.6958 0.7101 0.1171
Sr21 Sr 0.6958 0.2101 0.3829
Sr22 Sr 0.1958 0.7899 0.1171
Sr23 Sr 0.8042 0.7101 0.6171
Sr24 Sr 0.3042 0.7899 0.6171
Mo1 Mo 0.3088 0.1008 0.6124
Mo2 Mo 0.8088 0.8992 0.8876
Mo3 Mo 0.1912 0.6008 0.3876
Mo4 Mo 0.6912 0.3992 0.1124
Mo5 Mo 0.6912 0.8992 0.3876
Mo6 Mo 0.1912 0.1008 0.1124
Mo7 Mo 0.8088 0.3992 0.6124
Mo8 Mo 0.3088 0.6008 0.8876
N1 N 0.4421 0.1587 0.5081
N2 N 0.9421 0.8413 0.9919
N3 N 0.0579 0.6587 0.4919
N4 N 0.5579 0.3413 0.0081
N5 N 0.5579 0.8413 0.4919
N6 N 0.0579 0.1587 0.0081
N7 N 0.9421 0.3413 0.5081
N8 N 0.4421 0.6587 0.9919
N9 N 0.3885 0.9954 0.7227
N10 N 0.8885 0.0046 0.7773
N11 N 0.1115 0.4954 0.2773
N12 N 0.6115 0.5046 0.2227
N13 N 0.6115 0.0046 0.2773
N14 N 0.1115 0.9954 0.2227
N15 N 0.8885 0.5046 0.7227
N16 N 0.1870 0.4959 0.9697
N17 N 0.2141 0.2373 0.6793
N18 N 0.7141 0.7627 0.8207
N19 N 0.2859 0.7373 0.3207
N20 N 0.7859 0.2627 0.1793
N21 N 0.7859 0.7627 0.3207
N22 N 0.2859 0.2373 0.1793
N23 N 0.7141 0.2627 0.6793
N24 N 0.2141 0.7373 0.8207
N25 N 0.1870 0.9959 0.5303
N26 N 0.6870 0.0041 0.9697
N27 N 0.3130 0.4959 0.4697
N28 N 0.8130 0.5041 0.0303
N29 N 0.8130 0.0041 0.4697
N30 N 0.3130 0.9959 0.0303
N31 N 0.6870 0.5041 0.5303
N32 N 0.3885 0.4954 0.7773
```

magnetization: 0.00 μB per cell
V: 18.92 Å³ per atom
energy above the most stable polymorph in this dataset: 3.9 meV/atom
energy of formation: -1097 meV per atom